#one
A geometry-optimized Mg6GaMo structure, computed with PBE.

The structure in CIF format:
```
data_Mg6GaMo
_space_group_name_H-M_alt 'P 1'
_space_group_IT_number 1
_space_group_name_Hall 'P 1'
_cell_length_a 4.8357
_cell_length_b 6.1859
_cell_length_c 10.5778
_cell_angle_alpha 90.00
_cell_angle_beta 90.00
_cell_angle_gamma 90.00
loop_
_atom_site_label
_atom_site_type_symbol
_atom_site_fract_x
_atom_site_fract_y
_atom_site_fract_z
Mg1 Mg 0.0000 0.7540 0.5828
Mg2 Mg 0.0000 0.7460 0.0828
Mg3 Mg 0.0000 0.0000 0.3337
Mg4 Mg 0.5000 0.2380 0.9113
Mg5 Mg 0.5000 0.7620 0.9113
Mg6 Mg 0.5000 0.5000 0.6662
Mg7 Mg 0.0000 0.2460 0.5828
Mg8 Mg 0.5000 0.0000 0.1662
Mg9 Mg 0.5000 0.7380 0.4113
Mg10 Mg 0.5000 0.2620 0.4113
Mg11 Mg 0.0000 0.5000 0.8337
Mg12 Mg 0.0000 0.2540 0.0828
Mo1 Mo 0.0000 0.0000 0.8278
Mo2 Mo 0.0000 0.5000 0.3278
Ga1 Ga 0.5000 0.5000 0.1841
Ga2 Ga 0.5000 0.0000 0.6841
```

#two
A geometry-optimized Mg6GaMo structure, computed with PBE.

The structure in CIF format:
```
data_Mg6GaMo
_space_group_name_H-M_alt 'P 1'
_space_group_IT_number 1
_space_group_name_Hall 'P 1'
_cell_length_a 4.9337
_cell_length_b 5.8720
_cell_length_c 10.8442
_cell_angle_alpha 90.00
_cell_angle_beta 90.00
_cell_angle_gamma 90.00
loop_
_atom_site_label
_atom_site_type_symbol
_atom_site_fract_x
_atom_site_fract_y
_atom_site_fract_z
Mg1 Mg 0.5000 0.2484 0.4214
Mg2 Mg 0.5000 0.7484 0.9214
Mg3 Mg 0.5000 0.7516 0.4214
Mg4 Mg 0.5000 0.2516 0.9214
Mg5 Mg 0.0000 0.2601 0.5843
Mg6 Mg 0.0000 0.0000 0.8254
Mg7 Mg 0.0000 0.2399 0.0843
Mg8 Mg 0.0000 0.5000 0.3254
Mg9 Mg 0.0000 0.7601 0.0843
Mg10 Mg 0.0000 0.5000 0.8210
Mg11 Mg 0.0000 0.0000 0.3210
Mg12 Mg 0.0000 0.7399 0.5843
Mo1 Mo 0.5000 0.0000 0.1736
Mo2 Mo 0.5000 0.5000 0.6736
Ga1 Ga 0.5000 0.0000 0.6686
Ga2 Ga 0.5000 0.5000 0.1686
```

Relative calculated energies, zero for the most stable structure, unit kJ/mol of atoms: #one 0.0; #two 0.8.

#one
# NaMg14Ga (PBE, optimized geometry)
data_NaMg14Ga
_space_group_name_H-M_alt 'P 1'
_space_group_IT_number 1
_space_group_name_Hall 'P 1'
_cell_length_a 6.3346
_cell_length_b 6.3346
_cell_length_c 10.4911
_cell_angle_alpha 90.00
_cell_angle_beta 90.00
_cell_angle_gamma 120.00
loop_
_atom_site_label
_atom_site_type_symbol
_atom_site_fract_x
_atom_site_fract_y
_atom_site_fract_z
Mg1 Mg 0.3330 0.6660 0.8716
Mg2 Mg 0.3330 0.1670 0.8716
Mg3 Mg 0.1664 0.8332 0.6250
Mg4 Mg 0.8333 0.6667 0.3729
Mg5 Mg 0.1678 0.8339 0.1250
Mg6 Mg 0.6668 0.3336 0.6250
Mg7 Mg 0.3330 0.6660 0.3784
Mg8 Mg 0.6668 0.8332 0.6250
Mg9 Mg 0.6661 0.3322 0.1250
Mg10 Mg 0.8340 0.1670 0.8716
Mg11 Mg 0.6661 0.8339 0.1250
Mg12 Mg 0.8333 0.6667 0.8771
Mg13 Mg 0.8340 0.1670 0.3784
Mg14 Mg 0.3330 0.1670 0.3784
Na1 Na 0.1667 0.3333 0.1250
Ga1 Ga 0.1667 0.3333 0.6250
# Space-group type = P-6m2, No. 187

#two
# NaMg14Ga (PBE, optimized geometry)
data_NaMg14Ga
_space_group_name_H-M_alt 'P 1'
_space_group_IT_number 1
_space_group_name_Hall 'P 1'
_cell_length_a 6.3518
_cell_length_b 6.3964
_cell_length_c 10.3691
_cell_angle_alpha 90.00
_cell_angle_beta 90.00
_cell_angle_gamma 120.23
loop_
_atom_site_label
_atom_site_type_symbol
_atom_site_fract_x
_atom_site_fract_y
_atom_site_fract_z
Mg1 Mg 0.3316 0.1610 0.8756
Mg2 Mg 0.3316 0.6706 0.8756
Mg3 Mg 0.6663 0.8326 0.6250
Mg4 Mg 0.6663 0.3337 0.6250
Mg5 Mg 0.1677 0.3339 0.6250
Mg6 Mg 0.8362 0.6681 0.3701
Mg7 Mg 0.8362 0.6681 0.8799
Mg8 Mg 0.8294 0.1647 0.8710
Mg9 Mg 0.1671 0.8336 0.6250
Mg10 Mg 0.8294 0.1647 0.3790
Mg11 Mg 0.6679 0.8378 0.1250
Mg12 Mg 0.3316 0.1610 0.3744
Mg13 Mg 0.6679 0.3301 0.1250
Mg14 Mg 0.3316 0.6706 0.3744
Na1 Na 0.1660 0.3330 0.1250
Ga1 Ga 0.1731 0.8366 0.1250
# Space-group type = Amm2, No. 38

Relative calculated energies, zero for the most stable structure, unit kJ/mol of atoms: #one 0.9; #two 0.0.

#one
# NaMg6GaO8 (PBE, optimized geometry)
data_NaMg6GaO8
_space_group_name_H-M_alt 'P 1'
_space_group_IT_number 1
_space_group_name_Hall 'P 1'
_cell_length_a 8.5920
_cell_length_b 4.2728
_cell_length_c 4.2728
_cell_angle_alpha 90.00
_cell_angle_beta 90.00
_cell_angle_gamma 90.00
loop_
_atom_site_label
_atom_site_type_symbol
_atom_site_fract_x
_atom_site_fract_y
_atom_site_fract_z
O1 O 0.5000 0.0000 0.5000
O2 O 0.5000 0.5000 0.0000
O3 O 0.0000 0.0000 0.5000
O4 O 0.2649 0.0000 0.0000
O5 O 0.7351 0.0000 0.0000
O6 O 0.2369 0.5000 0.5000
O7 O 0.7631 0.5000 0.5000
O8 O 0.0000 0.5000 0.0000
Mg1 Mg 0.7514 0.5000 0.0000
Mg2 Mg 0.7514 0.0000 0.5000
Mg3 Mg 0.2486 0.5000 0.0000
Mg4 Mg 0.2486 0.0000 0.5000
Mg5 Mg 0.5000 0.5000 0.5000
Mg6 Mg 0.5000 0.0000 0.0000
Ga1 Ga 0.0000 0.5000 0.5000
Na1 Na 0.0000 0.0000 0.0000
# Space-group type = P4/mmm, No. 123

#two
# NaMg6GaO8 (PBE, optimized geometry)
data_NaMg6GaO8
_space_group_name_H-M_alt 'P 1'
_space_group_IT_number 1
_space_group_name_Hall 'P 1'
_cell_length_a 8.4818
_cell_length_b 4.3262
_cell_length_c 4.3262
_cell_angle_alpha 90.00
_cell_angle_beta 90.00
_cell_angle_gamma 90.00
loop_
_atom_site_label
_atom_site_type_symbol
_atom_site_fract_x
_atom_site_fract_y
_atom_site_fract_z
Mg1 Mg 0.5000 0.5000 0.5000
Mg2 Mg 0.0000 0.5000 0.5000
Mg3 Mg 0.7593 0.0000 0.5000
Mg4 Mg 0.2407 0.5000 0.0000
Mg5 Mg 0.7593 0.5000 0.0000
Mg6 Mg 0.2407 0.0000 0.5000
O1 O 0.7467 0.5000 0.5000
O2 O 0.2533 0.5000 0.5000
O3 O 0.7228 0.0000 0.0000
O4 O 0.0000 0.0000 0.5000
O5 O 0.2772 0.0000 0.0000
O6 O 0.5000 0.0000 0.5000
O7 O 0.0000 0.5000 0.0000
O8 O 0.5000 0.5000 0.0000
Na1 Na 0.0000 0.0000 0.0000
Ga1 Ga 0.5000 0.0000 0.0000
# Space-group type = P4/mmm, No. 123

Relative calculated energies, zero for the most stable structure, unit kJ/mol of atoms: #one 1.5; #two 0.0.

#one
# RbMg14GaO16 (PBE, optimized geometry)
data_RbMg14GaO16
_space_group_name_H-M_alt 'P 1'
_space_group_IT_number 1
_space_group_name_Hall 'P 1'
_cell_length_a 8.6539
_cell_length_b 8.6539
_cell_length_c 4.4766
_cell_angle_alpha 90.00
_cell_angle_beta 90.00
_cell_angle_gamma 90.00
loop_
_atom_site_label
_atom_site_type_symbol
_atom_site_fract_x
_atom_site_fract_y
_atom_site_fract_z
O1 O 0.5000 0.5000 0.5000
O2 O 0.5000 0.0000 0.5000
O3 O 0.0000 0.0000 0.5000
O4 O 0.0000 0.5000 0.5000
O5 O 0.2515 0.7485 0.5000
O6 O 0.2818 0.0000 0.0000
O7 O 0.2676 0.5000 0.0000
O8 O 0.7324 0.5000 0.0000
O9 O 0.0000 0.7182 0.0000
O10 O 0.2515 0.2515 0.5000
O11 O 0.5000 0.2676 0.0000
O12 O 0.7485 0.7485 0.5000
O13 O 0.7182 0.0000 0.0000
O14 O 0.7485 0.2515 0.5000
O15 O 0.5000 0.7324 0.0000
O16 O 0.0000 0.2818 0.0000
Mg1 Mg 0.2489 0.2489 0.0000
Mg2 Mg 0.2521 0.0000 0.5000
Mg3 Mg 0.2478 0.5000 0.5000
Mg4 Mg 0.0000 0.7479 0.5000
Mg5 Mg 0.5000 0.2478 0.5000
Mg6 Mg 0.0000 0.5000 0.0000
Mg7 Mg 0.7511 0.7511 0.0000
Mg8 Mg 0.7479 0.0000 0.5000
Mg9 Mg 0.0000 0.2521 0.5000
Mg10 Mg 0.2489 0.7511 0.0000
Mg11 Mg 0.7522 0.5000 0.5000
Mg12 Mg 0.5000 0.0000 0.0000
Mg13 Mg 0.5000 0.7522 0.5000
Mg14 Mg 0.7511 0.2489 0.0000
Rb1 Rb 0.0000 0.0000 0.0000
Ga1 Ga 0.5000 0.5000 0.0000
# Space-group type = P4/mmm, No. 123

#two
# RbMg14GaO16 (PBE, optimized geometry)
data_RbMg14GaO16
_space_group_name_H-M_alt 'P 1'
_space_group_IT_number 1
_space_group_name_Hall 'P 1'
_cell_length_a 8.7141
_cell_length_b 8.5573
_cell_length_c 4.4819
_cell_angle_alpha 90.00
_cell_angle_beta 90.00
_cell_angle_gamma 90.00
loop_
_atom_site_label
_atom_site_type_symbol
_atom_site_fract_x
_atom_site_fract_y
_atom_site_fract_z
Mg1 Mg 0.7452 0.0000 0.5000
Mg2 Mg 0.5000 0.5000 0.0000
Mg3 Mg 0.5000 0.2487 0.5000
Mg4 Mg 0.2521 0.5000 0.5000
Mg5 Mg 0.7424 0.2489 0.0000
Mg6 Mg 0.2548 0.0000 0.5000
Mg7 Mg 0.5000 0.0000 0.0000
Mg8 Mg 0.2576 0.7511 0.0000
Mg9 Mg 0.5000 0.7513 0.5000
Mg10 Mg 0.0000 0.2493 0.5000
Mg11 Mg 0.0000 0.7507 0.5000
Mg12 Mg 0.2576 0.2489 0.0000
Mg13 Mg 0.7424 0.7511 0.0000
Mg14 Mg 0.7479 0.5000 0.5000
O1 O 0.0000 0.2867 0.0000
O2 O 0.0000 0.5000 0.5000
O3 O 0.5000 0.2584 0.0000
O4 O 0.2487 0.7490 0.5000
O5 O 0.2487 0.2510 0.5000
O6 O 0.2802 0.0000 0.0000
O7 O 0.2495 0.5000 0.0000
O8 O 0.0000 0.0000 0.5000
O9 O 0.5000 0.0000 0.5000
O10 O 0.7513 0.2510 0.5000
O11 O 0.7505 0.5000 0.0000
O12 O 0.0000 0.7133 0.0000
O13 O 0.7198 0.0000 0.0000
O14 O 0.7513 0.7490 0.5000
O15 O 0.5000 0.7416 0.0000
O16 O 0.5000 0.5000 0.5000
Rb1 Rb 0.0000 0.0000 0.0000
Ga1 Ga 0.0000 0.5000 0.0000
# Space-group type = Pmmm, No. 47

Relative calculated energies, zero for the most stable structure, unit kJ/mol of atoms: #one 2.2; #two 0.0.

#one
# MgTiGa4O8 (PBE, optimized geometry)
data_MgTiGa4O8
_space_group_name_H-M_alt 'P 1'
_space_group_IT_number 1
_space_group_name_Hall 'P 1'
_cell_length_a 2.9778
_cell_length_b 6.5120
_cell_length_c 8.3888
_cell_angle_alpha 77.96
_cell_angle_beta 78.00
_cell_angle_gamma 77.45
loop_
_atom_site_label
_atom_site_type_symbol
_atom_site_fract_x
_atom_site_fract_y
_atom_site_fract_z
O1 O 0.1646 0.8485 0.8018
O2 O 0.8531 0.5286 0.6914
O3 O 0.5297 0.8187 0.0958
O4 O 0.3427 0.8284 0.4800
O5 O 0.8354 0.1515 0.1982
O6 O 0.6573 0.1716 0.5200
O7 O 0.1469 0.4714 0.3086
O8 O 0.4703 0.1813 0.9042
Ti1 Ti 0.0000 0.0000 0.0000
Ga1 Ga 0.2641 0.1260 0.3629
Ga2 Ga 0.2566 0.4930 0.8592
Ga3 Ga 0.7434 0.5070 0.1408
Ga4 Ga 0.7359 0.8740 0.6371
Mg1 Mg 0.5000 0.5000 0.5000
# Space-group type = P-1, No. 2

#two
# MgTiGa4O8 (PBE, optimized geometry)
data_MgTiGa4O8
_space_group_name_H-M_alt 'P 1'
_space_group_IT_number 1
_space_group_name_Hall 'P 1'
_cell_length_a 3.0062
_cell_length_b 6.6836
_cell_length_c 8.2443
_cell_angle_alpha 78.34
_cell_angle_beta 79.48
_cell_angle_gamma 76.99
loop_
_atom_site_label
_atom_site_type_symbol
_atom_site_fract_x
_atom_site_fract_y
_atom_site_fract_z
O1 O 0.6273 0.1864 0.5591
O2 O 0.1160 0.4781 0.2905
O3 O 0.1531 0.8800 0.8146
O4 O 0.4446 0.1969 0.9141
O5 O 0.3263 0.8619 0.4858
O6 O 0.8231 0.1126 0.2413
O7 O 0.5234 0.8310 0.1226
O8 O 0.8881 0.5468 0.6773
Ga1 Ga 0.2155 0.1854 0.3836
Ga2 Ga 0.4551 0.3812 0.7092
Ga3 Ga 0.7351 0.8630 0.6675
Ga4 Ga 0.6972 0.5071 0.0995
Ti1 Ti 0.9852 0.0191 0.0109
Mg1 Mg 0.9475 0.7732 0.3324
# Space-group type = Cm, No. 8

#three
# MgTiGa4O8 (PBE, optimized geometry)
data_MgTiGa4O8
_space_group_name_H-M_alt 'P 1'
_space_group_IT_number 1
_space_group_name_Hall 'P 1'
_cell_length_a 3.1107
_cell_length_b 6.3987
_cell_length_c 8.3697
_cell_angle_alpha 80.91
_cell_angle_beta 79.29
_cell_angle_gamma 75.93
loop_
_atom_site_label
_atom_site_type_symbol
_atom_site_fract_x
_atom_site_fract_y
_atom_site_fract_z
O1 O 0.1585 0.9093 0.7744
O2 O 0.8742 0.5319 0.7210
O3 O 0.5917 0.7420 0.0749
O4 O 0.4151 0.2423 0.9290
O5 O 0.8304 0.1348 0.2053
O6 O 0.3500 0.8385 0.4615
O7 O 0.6484 0.1740 0.5298
O8 O 0.1079 0.4749 0.3093
Mg1 Mg 0.7844 0.4297 0.0028
Ga1 Ga 0.5252 0.6441 0.3055
Ga2 Ga 0.4736 0.3561 0.6981
Ga3 Ga 0.7524 0.8563 0.6395
Ga4 Ga 0.2445 0.1553 0.3564
Ti1 Ti 0.0145 0.9692 0.0010
# Space-group type = Cm, No. 8

Relative calculated energies, zero for the most stable structure, unit kJ/mol of atoms: #one 0.0; #two 2.3; #three 9.8.

#one
# Mg14GaSb (PBE, optimized geometry)
data_Mg14GaSb
_space_group_name_H-M_alt 'P 1'
_space_group_IT_number 1
_space_group_name_Hall 'P 1'
_cell_length_a 6.3585
_cell_length_b 6.3585
_cell_length_c 10.2654
_cell_angle_alpha 90.00
_cell_angle_beta 90.00
_cell_angle_gamma 120.00
loop_
_atom_site_label
_atom_site_type_symbol
_atom_site_fract_x
_atom_site_fract_y
_atom_site_fract_z
Mg1 Mg 0.8333 0.6667 0.8745
Mg2 Mg 0.6666 0.3332 0.1250
Mg3 Mg 0.3344 0.1656 0.8780
Mg4 Mg 0.8312 0.1656 0.3720
Mg5 Mg 0.1668 0.8334 0.1250
Mg6 Mg 0.1655 0.8327 0.6250
Mg7 Mg 0.3344 0.1656 0.3720
Mg8 Mg 0.6673 0.8327 0.6250
Mg9 Mg 0.3344 0.6688 0.8780
Mg10 Mg 0.3344 0.6688 0.3720
Mg11 Mg 0.6673 0.3345 0.6250
Mg12 Mg 0.8312 0.1656 0.8780
Mg13 Mg 0.6666 0.8334 0.1250
Mg14 Mg 0.8333 0.6667 0.3755
Ga1 Ga 0.1667 0.3333 0.1250
Sb1 Sb 0.1667 0.3333 0.6250
# Space-group type = P-6m2, No. 187

#two
# Mg14GaSb (PBE, optimized geometry)
data_Mg14GaSb
_space_group_name_H-M_alt 'P 1'
_space_group_IT_number 1
_space_group_name_Hall 'P 1'
_cell_length_a 6.2969
_cell_length_b 6.6034
_cell_length_c 10.2865
_cell_angle_alpha 90.00
_cell_angle_beta 90.00
_cell_angle_gamma 121.62
loop_
_atom_site_label
_atom_site_type_symbol
_atom_site_fract_x
_atom_site_fract_y
_atom_site_fract_z
Mg1 Mg 0.8372 0.1686 0.8786
Mg2 Mg 0.8321 0.6660 0.3779
Mg3 Mg 0.1723 0.8361 0.6250
Mg4 Mg 0.6683 0.3341 0.6250
Mg5 Mg 0.6724 0.3350 0.1250
Mg6 Mg 0.6683 0.8342 0.6250
Mg7 Mg 0.8321 0.6660 0.8721
Mg8 Mg 0.6724 0.8374 0.1250
Mg9 Mg 0.1713 0.3356 0.6250
Mg10 Mg 0.3290 0.1701 0.8793
Mg11 Mg 0.3290 0.1701 0.3707
Mg12 Mg 0.3290 0.6589 0.3707
Mg13 Mg 0.8372 0.1686 0.3714
Mg14 Mg 0.3290 0.6589 0.8793
Sb1 Sb 0.1598 0.8299 0.1250
Ga1 Ga 0.1609 0.3305 0.1250
# Space-group type = Amm2, No. 38

Relative calculated energies, zero for the most stable structure, unit kJ/mol of atoms: #one 0.0; #two 1.8.

#one
# Mg14GaSn (PBE, optimized geometry)
data_Mg14GaSn
_space_group_name_H-M_alt 'P 1'
_space_group_IT_number 1
_space_group_name_Hall 'P 1'
_cell_length_a 6.3256
_cell_length_b 6.3256
_cell_length_c 10.3820
_cell_angle_alpha 90.00
_cell_angle_beta 90.00
_cell_angle_gamma 120.00
loop_
_atom_site_label
_atom_site_type_symbol
_atom_site_fract_x
_atom_site_fract_y
_atom_site_fract_z
Mg1 Mg 0.3335 0.1665 0.3769
Mg2 Mg 0.6666 0.8334 0.6250
Mg3 Mg 0.8330 0.1665 0.8731
Mg4 Mg 0.3335 0.1665 0.8731
Mg5 Mg 0.3335 0.6670 0.3769
Mg6 Mg 0.3335 0.6670 0.8731
Mg7 Mg 0.6668 0.8332 0.1250
Mg8 Mg 0.8330 0.1665 0.3769
Mg9 Mg 0.1668 0.8334 0.6250
Mg10 Mg 0.8333 0.6667 0.8747
Mg11 Mg 0.8333 0.6667 0.3753
Mg12 Mg 0.6666 0.3332 0.6250
Mg13 Mg 0.1664 0.8332 0.1250
Mg14 Mg 0.6668 0.3336 0.1250
Ga1 Ga 0.1667 0.3333 0.6250
Sn1 Sn 0.1667 0.3333 0.1250
# Space-group type = P-6m2, No. 187

#two
# Mg14GaSn (PBE, optimized geometry)
data_Mg14GaSn
_space_group_name_H-M_alt 'P 1'
_space_group_IT_number 1
_space_group_name_Hall 'P 1'
_cell_length_a 6.2893
_cell_length_b 6.5209
_cell_length_c 10.3361
_cell_angle_alpha 90.00
_cell_angle_beta 90.00
_cell_angle_gamma 121.23
loop_
_atom_site_label
_atom_site_type_symbol
_atom_site_fract_x
_atom_site_fract_y
_atom_site_fract_z
Ga1 Ga 0.1613 0.8307 0.1250
Mg1 Mg 0.8329 0.1665 0.8715
Mg2 Mg 0.3312 0.1616 0.3743
Mg3 Mg 0.6667 0.8334 0.6250
Mg4 Mg 0.3312 0.6696 0.3743
Mg5 Mg 0.8366 0.6683 0.8751
Mg6 Mg 0.8366 0.6683 0.3749
Mg7 Mg 0.8329 0.1665 0.3785
Mg8 Mg 0.1686 0.8343 0.6250
Mg9 Mg 0.1688 0.3344 0.6250
Mg10 Mg 0.3312 0.1616 0.8757
Mg11 Mg 0.6691 0.8345 0.1250
Mg12 Mg 0.6667 0.3333 0.6250
Mg13 Mg 0.3312 0.6696 0.8757
Mg14 Mg 0.6691 0.3346 0.1250
Sn1 Sn 0.1660 0.3330 0.1250
# Space-group type = Amm2, No. 38

Relative calculated energies, zero for the most stable structure, unit kJ/mol of atoms: #one 0.0; #two 2.6.